# Sm2Mn2O5

Crystalline Sm2Mn2O5 at its relaxed geometry (PBE+U, the Materials Project database).

The structure in POSCAR format:
```
Sm2Mn2O5
1.0
-7.6676 2.9145 2.8591
7.6676 -2.9145 2.8591
7.6676 2.9145 -2.8591
Sm Mn O
4 4 10
direct
0.0135 0.1135 0.1270
0.0135 0.3865 0.4001
0.9865 0.6135 0.5999
0.9865 0.8865 0.8730
0.4760 0.7659 0.2101
0.4792 0.4792 0.0000
0.4792 0.9792 0.5000
0.5557 0.2659 0.7899
0.0010 0.6359 0.8651
0.2701 0.0298 0.5242
0.2701 0.2459 0.7403
0.5056 0.5298 0.2597
0.5056 0.7459 0.4758
0.5088 0.2092 0.2330
0.5088 0.7758 0.7996
0.7708 0.1359 0.1349
0.9763 0.2758 0.7670
0.9763 0.7092 0.2004
```

Results
**Formation enthalpy at 0 K**: -2889 meV per atom
**V**: 127.8 Å³/f.u.
**Energy**: -7.97 eV/atom
**Space-group type**: Ima2, No. 46